{"formula": "LuB3H18C2S", "functional": "GGA-PBE", "state": "optimized geometry", "volume_a3_per_fu": 241, "crystal_system": "monoclinic", "delta_e_f_ev_per_atom": -0.257, "spacegroup": "P2_1/c", "lattice": [[5.4099, 0.0000, 0.0000], [0.0000, 22.4699, 0.0000], [-1.4013, 0.0000, 7.9255]], "species": ["Lu", "Lu", "Lu", "Lu", "B", "B", "B", "B", "B", "B", "B", "B", "B", "B", "B", "B", "H", "H", "H", "H", "H", "H", "H", "H", "H", "H", "H", "H", "H", "H", "H", "H", "H", "H", "H", "H", "H", "H", "H", "H", "H", "H", "H", "H", "H", "H", "H", "H", "H", "H", "H", "H", "H", "H", "H", "H", "H", "H", "H", "H", "H", "H", "H", "H", "H", "H", "H", "H", "H", "H", "H", "H", "H", "H", "H", "H", "H", "H", "H", "H", "H", "H", "H", "H", "H", "H", "H", "H", "C", "C", "C", "C", "C", "C", "C", "C", "S", "S", "S", "S"], "fractional_positions": [[0.1794, 0.1676, 0.1175], [0.1794, 0.3324, 0.6175], [0.8206, 0.6676, 0.3825], [0.8206, 0.8324, 0.8825], [0.1758, 0.2457, 0.3760], [0.1758, 0.2543, 0.8760], [0.3004, 0.0867, 0.3105], [0.3004, 0.4133, 0.8105], [0.3365, 0.6701, 0.4340], [0.3365, 0.8299, 0.9340], [0.6635, 0.1701, 0.0660], [0.6635, 0.3299, 0.5660], [0.6996, 0.5867, 0.1895], [0.6996, 0.9133, 0.6895], [0.8242, 0.7457, 0.1240], [0.8242, 0.7543, 0.6240], [0.0044, 0.6391, 0.8893], [0.0044, 0.8609, 0.3893], [0.0137, 0.7225, 0.2049], [0.0137, 0.7775, 0.7049], [0.1054, 0.1107, 0.3370], [0.1054, 0.3893, 0.8370], [0.1285, 0.0030, 0.7079], [0.1285, 0.4970, 0.2079], [0.1607, 0.2006, 0.8484], [0.1607, 0.2994, 0.3484], [0.1831, 0.2334, 0.5259], [0.1831, 0.2666, 0.0259], [0.2027, 0.6372, 0.3353], [0.2027, 0.8628, 0.8353], [0.2211, 0.6981, 0.5271], [0.2211, 0.8019, 0.0271], [0.2372, 0.5812, 0.9243], [0.2372, 0.9188, 0.4243], [0.2606, 0.0716, 0.1597], [0.2606, 0.4284, 0.6597], [0.2947, 0.6475, 0.8141], [0.2947, 0.8525, 0.3141], [0.3051, 0.0110, 0.9155], [0.3051, 0.4890, 0.4155], [0.3576, 0.0615, 0.7522], [0.3576, 0.4385, 0.2522], [0.3637, 0.0450, 0.4018], [0.3637, 0.4550, 0.9018], [0.3708, 0.2280, 0.3347], [0.3708, 0.2720, 0.8347], [0.4316, 0.7070, 0.3518], [0.4316, 0.7930, 0.8518], [0.4607, 0.1263, 0.3224], [0.4607, 0.3737, 0.8224], [0.4956, 0.6387, 0.5211], [0.4956, 0.8613, 0.0211], [0.5044, 0.1387, 0.9789], [0.5044, 0.3613, 0.4789], [0.5393, 0.6263, 0.1776], [0.5393, 0.8737, 0.6776], [0.5684, 0.2070, 0.1482], [0.5684, 0.2930, 0.6482], [0.6292, 0.7280, 0.1653], [0.6292, 0.7720, 0.6653], [0.6363, 0.5450, 0.0982], [0.6363, 0.9550, 0.5982], [0.6424, 0.5615, 0.7478], [0.6424, 0.9385, 0.2478], [0.6949, 0.5110, 0.5845], [0.6949, 0.9890, 0.0845], [0.7053, 0.1475, 0.6859], [0.7053, 0.3525, 0.1859], [0.7394, 0.5716, 0.3403], [0.7394, 0.9284, 0.8403], [0.7628, 0.0812, 0.5757], [0.7628, 0.4188, 0.0757], [0.7789, 0.1981, 0.9729], [0.7789, 0.3019, 0.4729], [0.7973, 0.1372, 0.1647], [0.7973, 0.3628, 0.6647], [0.8169, 0.7334, 0.9741], [0.8169, 0.7666, 0.4741], [0.8393, 0.7006, 0.6516], [0.8393, 0.7994, 0.1516], [0.8715, 0.5030, 0.7921], [0.8715, 0.9970, 0.2921], [0.8946, 0.6107, 0.1630], [0.8946, 0.8893, 0.6630], [0.9863, 0.2225, 0.2951], [0.9863, 0.2775, 0.7951], [0.9956, 0.1391, 0.6107], [0.9956, 0.3609, 0.1107], [0.1507, 0.6157, 0.8368], [0.1507, 0.8843, 0.3368], [0.2169, 0.0352, 0.8023], [0.2169, 0.4648, 0.3023], [0.7831, 0.5352, 0.6977], [0.7831, 0.9648, 0.1977], [0.8493, 0.1157, 0.6632], [0.8493, 0.3843, 0.1632], [0.0241, 0.5817, 0.6368], [0.0241, 0.9183, 0.1368], [0.9759, 0.0817, 0.8632], [0.9759, 0.4183, 0.3632]]}



{"formula": "Ir", "functional": "GGA-PBE", "state": "optimized geometry", "de_polymorph_mev_per_atom": 589, "volume_a3_per_fu": 15, "crystal_system": "cubic", "delta_e_f_ev_per_atom": 0.589, "spacegroup": "Im-3m", "lattice": [[-1.5595, 1.5595, 1.5595], [1.5595, -1.5595, 1.5595], [1.5595, 1.5595, -1.5595]], "species": ["Ir"], "fractional_positions": [[0.0000, 0.0000, 0.0000]]}



{"formula": "Ba2GdUO6", "functional": "GGA-PBE", "state": "optimized geometry", "volume_a3_per_fu": 174, "crystal_system": "cubic", "delta_e_f_ev_per_atom": -3.619, "spacegroup": "Fm-3m", "lattice": [[0.0000, 4.4341, 4.4341], [4.4341, 0.0000, 4.4341], [4.4341, 4.4341, 0.0000]], "species": ["Ba", "Ba", "Gd", "U", "O", "O", "O", "O", "O", "O"], "fractional_positions": [[0.2500, 0.2500, 0.2500], [0.7500, 0.7500, 0.7500], [0.0000, 0.0000, 0.0000], [0.5000, 0.5000, 0.5000], [0.2571, 0.2571, 0.7429], [0.2571, 0.7429, 0.2571], [0.2571, 0.7429, 0.7429], [0.7429, 0.2571, 0.2571], [0.7429, 0.2571, 0.7429], [0.7429, 0.7429, 0.2571]]}



no.,E_tot (eV/cell)
1,-456.6
2,-8.2
3,-91.0